# 1
VASP calculation (PBE) on a relaxed Nd2Si2O7 crystal.

The value obtained for the energy of formation is -3.606 eV per atom. For the total energy, the calculation gives -8.171 eV per atom. The calculated volume comes out at 14.05 Å³ per atom. The magnetization comes out at 0.0000 μB per atom.

Cell lengths 5.435, 8.688, 13.090 Å; angles 90.00, 90.00, 90.00 degrees
Space group P2_12_12_1 (No. 19)
Asymmetric unit:
Nd (0.007, 0.054, 0.232)
Nd (0.013, 0.646, 0.589)
Si (0.023, 0.749, 0.821)
Si (0.024, 0.498, 0.975)
O (0.013, 0.676, 0.936)
O (0.084, 0.490, 0.097)
O (0.101, 0.930, 0.825)
O (0.229, 0.903, 0.557)
O (0.236, 0.221, 0.741)
O (0.248, 0.604, 0.425)
O (0.248, 0.674, 0.753)

---

# 2
VASP calculation (PBE) on a relaxed Ba2TmMgCu3O7 crystal.

The value obtained for the energy of formation is -2.102 eV per atom. The value obtained for the energy above the lowest structure with this stoichiometry is 38.2 meV per atom. For the total energy, the calculation gives -5.819 eV per atom. The calculated volume comes out at 15.31 Å³ per atom. The magnetization comes out at 0.0000 μB per atom.

Cell lengths 3.710, 3.958, 14.593 Å; angles 90.00, 90.00, 90.00 degrees
Space group Pmm2 (No. 25)
Asymmetric unit:
Ba (0.000, 0.000, 0.000)
Ba (0.000, 0.000, 0.315)
Tm (0.000, 0.000, 0.570)
Mg (0.000, 0.500, 0.812)
Cu (0.500, 0.500, 0.152)
Cu (0.500, 0.500, 0.457)
Cu (0.500, 0.500, 0.668)
O (0.000, 0.500, 0.105)
O (0.000, 0.500, 0.488)
O (0.000, 0.500, 0.679)
O (0.500, 0.000, 0.465)
O (0.500, 0.000, 0.659)
O (0.500, 0.500, 0.286)
O (0.500, 0.500, 0.879)

---

# 3
VASP calculation (PBE) on a relaxed Na10Ta7InSi12O48 crystal.

The value obtained for the energy of formation is -3.060 eV per atom. For the total energy, the calculation gives -7.786 eV per atom. The calculated volume comes out at 13.71 Å³ per atom. The magnetization comes out at 0.0000 μB per atom.

Cell lengths 9.028, 15.624, 22.751 Å; angles 89.99, 89.99, 89.99 degrees
Space group P1 (No. 1)
Asymmetric unit:
Na (0.000, 0.000, 0.000)
Na (0.001, 0.031, 0.666)
Na (0.045, 0.681, 0.000)
Na (0.181, 0.512, 0.082)
Na (0.183, 0.180, 0.251)
Na (0.183, 0.181, 0.749)
Na (0.185, 0.509, 0.582)
Na (0.186, 0.850, 0.414)
Na (0.188, 0.847, 0.914)
Na (0.315, 0.344, 0.165)
Na (0.322, 0.680, 0.500)
Na (0.363, 0.034, 0.165)
Na (0.367, 0.331, 0.833)
Na (0.373, 0.665, 0.165)
Na (0.501, 0.501, 0.000)
Na (0.505, 0.533, 0.664)
Na (0.546, 0.180, 0.000)
Na (0.553, 0.844, 0.665)
Na (0.678, 0.019, 0.581)
Na (0.681, 0.011, 0.082)
Na (0.681, 0.345, 0.416)
Na (0.684, 0.680, 0.749)
Na (0.684, 0.681, 0.250)
Na (0.693, 0.348, 0.915)
Na (0.815, 0.844, 0.165)
Na (0.862, 0.534, 0.165)
Na (0.863, 0.863, 0.499)
Na (0.866, 0.499, 0.500)
Na (0.873, 0.164, 0.165)
Na (0.993, 0.664, 0.665)
Ta (0.179, 0.178, 0.895)
Ta (0.181, 0.513, 0.934)
Ta (0.182, 0.512, 0.730)
Ta (0.183, 0.848, 0.273)
Ta (0.184, 0.180, 0.395)
Ta (0.184, 0.514, 0.232)
Ta (0.184, 0.848, 0.772)
Ta (0.187, 0.184, 0.602)
Ta (0.187, 0.510, 0.435)
Ta (0.187, 0.847, 0.062)
Ta (0.187, 0.851, 0.562)
Ta (0.680, 0.018, 0.436)
Ta (0.681, 0.017, 0.730)
Ta (0.681, 0.344, 0.561)
Ta (0.682, 0.011, 0.934)
Ta (0.683, 0.681, 0.394)
Ta (0.684, 0.014, 0.232)
Ta (0.684, 0.347, 0.273)
Ta (0.684, 0.682, 0.894)
Ta (0.687, 0.347, 0.770)
Ta (0.687, 0.348, 0.062)
In (0.183, 0.181, 0.100)
In (0.683, 0.680, 0.600)
In (0.683, 0.681, 0.099)
Si (0.035, 0.368, 0.833)
Si (0.038, 0.659, 0.832)
Si (0.038, 0.991, 0.167)
Si (0.039, 0.039, 0.499)
Si (0.039, 0.324, 0.499)
Si (0.040, 0.703, 0.167)
Si (0.326, 0.327, 0.999)
Si (0.327, 0.703, 0.667)
Si (0.329, 0.367, 0.333)
Si (0.329, 0.659, 0.334)
Si (0.329, 0.993, 0.667)
Si (0.332, 0.034, 0.999)
Si (0.393, 0.015, 0.333)
Si (0.394, 0.682, 0.999)
Si (0.395, 0.346, 0.666)
Si (0.471, 0.180, 0.499)
Si (0.472, 0.848, 0.168)
Si (0.475, 0.516, 0.832)
Si (0.537, 0.534, 0.499)
Si (0.539, 0.159, 0.833)
Si (0.539, 0.491, 0.167)
Si (0.539, 0.828, 0.499)
Si (0.539, 0.869, 0.832)
Si (0.540, 0.203, 0.167)
Si (0.826, 0.827, 0.999)
Si (0.828, 0.869, 0.334)
Si (0.829, 0.203, 0.666)
Si (0.830, 0.490, 0.666)
Si (0.830, 0.535, 0.999)
Si (0.831, 0.159, 0.333)
Si (0.892, 0.181, 0.999)
Si (0.893, 0.514, 0.333)
Si (0.895, 0.848, 0.667)
Si (0.972, 0.348, 0.168)
Si (0.973, 0.014, 0.832)
Si (0.975, 0.680, 0.499)
O (0.000, 0.529, 0.275)
O (0.001, 0.865, 0.608)
O (0.003, 0.196, 0.943)
O (0.007, 0.834, 0.723)
O (0.007, 0.860, 0.325)
O (0.008, 0.189, 0.659)
O (0.009, 0.168, 0.340)
O (0.010, 0.526, 0.989)
O (0.010, 0.836, 0.006)
O (0.011, 0.502, 0.674)
O (0.065, 0.930, 0.108)
O (0.069, 0.096, 0.559)
O (0.071, 0.263, 0.442)
O (0.071, 0.430, 0.889)
O (0.071, 0.598, 0.775)
O (0.074, 0.436, 0.173)
O (0.075, 0.264, 0.164)
O (0.075, 0.766, 0.222)
O (0.077, 0.099, 0.841)
O (0.078, 0.929, 0.825)
O (0.080, 0.767, 0.506)
O (0.084, 0.596, 0.490)
O (0.108, 0.421, 0.492)
O (0.110, 0.941, 0.508)
O (0.112, 0.085, 0.164)
O (0.114, 0.613, 0.890)
O (0.114, 0.753, 0.825)
O (0.115, 0.279, 0.556)
O (0.116, 0.083, 0.443)
O (0.116, 0.942, 0.222)
O (0.118, 0.415, 0.777)
O (0.119, 0.747, 0.108)
O (0.120, 0.276, 0.841)
O (0.120, 0.608, 0.173)
O (0.247, 0.747, 0.608)
O (0.248, 0.086, 0.659)
O (0.248, 0.608, 0.673)
O (0.248, 0.941, 0.006)
O (0.249, 0.082, 0.943)
O (0.249, 0.946, 0.723)
O (0.252, 0.274, 0.340)
O (0.253, 0.613, 0.391)
O (0.253, 0.753, 0.325)
O (0.254, 0.415, 0.274)
O (0.257, 0.293, 0.059)
O (0.263, 0.425, 0.990)
O (0.282, 0.765, 0.006)
O (0.284, 0.597, 0.989)
O (0.289, 0.262, 0.659)
O (0.290, 0.099, 0.340)
O (0.291, 0.929, 0.325)
O (0.292, 0.767, 0.722)
O (0.295, 0.434, 0.674)
O (0.296, 0.431, 0.388)
O (0.297, 0.599, 0.275)
O (0.300, 0.929, 0.610)
O (0.302, 0.264, 0.941)
O (0.321, 0.091, 0.058)
O (0.356, 0.499, 0.173)
O (0.356, 0.833, 0.506)
O (0.357, 0.526, 0.489)
O (0.359, 0.171, 0.841)
O (0.360, 0.833, 0.223)
O (0.360, 0.860, 0.825)
O (0.363, 0.193, 0.164)
O (0.363, 0.865, 0.110)
O (0.364, 0.166, 0.557)
O (0.364, 0.196, 0.442)
O (0.367, 0.528, 0.774)
O (0.368, 0.497, 0.890)
O (0.479, 0.656, 0.058)
O (0.498, 0.333, 0.725)
O (0.499, 0.029, 0.274)
O (0.504, 0.365, 0.610)
O (0.504, 0.693, 0.664)
O (0.504, 0.696, 0.942)
O (0.504, 0.999, 0.389)
O (0.508, 0.360, 0.325)
O (0.508, 0.668, 0.341)
O (0.510, 0.336, 0.005)
O (0.510, 0.998, 0.674)
O (0.511, 0.026, 0.989)
O (0.545, 0.591, 0.558)
O (0.565, 0.430, 0.108)
O (0.566, 0.762, 0.443)
O (0.571, 0.097, 0.776)
O (0.571, 0.931, 0.888)
O (0.572, 0.427, 0.825)
O (0.574, 0.936, 0.173)
O (0.575, 0.266, 0.222)
O (0.575, 0.764, 0.164)
O (0.576, 0.265, 0.508)
O (0.577, 0.096, 0.492)
O (0.578, 0.600, 0.840)
O (0.609, 0.255, 0.826)
O (0.612, 0.585, 0.164)
O (0.613, 0.114, 0.891)
O (0.614, 0.915, 0.774)
O (0.615, 0.775, 0.841)
O (0.615, 0.922, 0.489)
O (0.616, 0.442, 0.222)
O (0.616, 0.794, 0.558)
O (0.619, 0.247, 0.108)
O (0.619, 0.440, 0.506)
O (0.619, 0.582, 0.443)
O (0.620, 0.108, 0.173)
O (0.748, 0.441, 0.006)
O (0.748, 0.581, 0.943)
O (0.751, 0.249, 0.609)
O (0.751, 0.442, 0.722)
O (0.752, 0.112, 0.389)
O (0.752, 0.775, 0.341)
O (0.753, 0.253, 0.325)
O (0.754, 0.915, 0.275)
O (0.755, 0.584, 0.664)
O (0.757, 0.107, 0.674)
O (0.757, 0.794, 0.060)
O (0.763, 0.925, 0.990)
O (0.782, 0.265, 0.005)
O (0.784, 0.097, 0.989)
O (0.790, 0.600, 0.341)
O (0.791, 0.429, 0.325)
O (0.792, 0.764, 0.664)
O (0.793, 0.935, 0.673)
O (0.795, 0.264, 0.723)
O (0.798, 0.099, 0.274)
O (0.798, 0.930, 0.391)
O (0.799, 0.431, 0.607)
O (0.801, 0.762, 0.943)
O (0.821, 0.590, 0.059)
O (0.856, 0.999, 0.173)
O (0.857, 0.359, 0.825)
O (0.859, 0.668, 0.841)
O (0.860, 0.023, 0.492)
O (0.860, 0.338, 0.507)
O (0.861, 0.334, 0.223)
O (0.863, 0.365, 0.110)
O (0.863, 0.692, 0.164)
O (0.864, 0.699, 0.443)
O (0.867, 0.029, 0.775)
O (0.869, 0.000, 0.891)
O (0.888, 0.657, 0.558)
O (0.980, 0.156, 0.058)
O (0.999, 0.499, 0.391)

---

# 4
VASP calculation (PBE) on a relaxed NiI2N2 crystal.

The value obtained for the energy of formation is 1.031 eV per atom. The value obtained for the energy above the lowest structure with this stoichiometry is 0.0 meV per atom. For the total energy, the calculation gives -3.925 eV per atom. The calculated volume comes out at 19.77 Å³ per atom. The magnetization comes out at 0.0000 μB per atom.

Cell lengths 7.229, 7.422, 3.685 Å; angles 90.00, 90.00, 90.00 degrees
Space group Pbam (No. 55)
Asymmetric unit:
Ni (0.000, 0.000, 0.000)
I (0.227, 0.191, 0.500)
N (0.185, 0.839, 0.000)

---

# 5
VASP calculation (PBE) on a relaxed W2Se3S crystal.

The value obtained for the energy of formation is -0.695 eV per atom. For the total energy, the calculation gives -7.368 eV per atom. The calculated volume comes out at 29.20 Å³ per atom. The magnetization comes out at 0.0000 μB per atom.

Cell lengths 3.2870, 3.2870, 37.4443 Å; angles 90.00, 90.00, 120.00 degrees
Space group P3m1 (No. 156)
Asymmetric unit:
W (0.0000, 0.0000, 0.0000)
W (0.0000, 0.0000, 0.3757)
W (0.3333, 0.6667, 0.1879)
W (0.3333, 0.6667, 0.5636)
Se (0.0000, 0.0000, 0.1426)
Se (0.0000, 0.0000, 0.2331)
Se (0.0000, 0.0000, 0.5183)
Se (0.0000, 0.0000, 0.6089)
Se (0.3333, 0.6667, 0.3305)
Se (0.3333, 0.6667, 0.4210)
S (0.3333, 0.6667, 0.0412)
S (0.3333, 0.6667, 0.9588)

---

# 6
VASP calculation (PBE) on a relaxed Na2Zn2Te3O9 crystal.

The value obtained for the energy of formation is -1.497 eV per atom. For the total energy, the calculation gives -4.806 eV per atom. The calculated volume comes out at 19.71 Å³ per atom. The magnetization comes out at 0.0000 μB per atom.

Cell lengths 8.4163, 8.4163, 10.2806 Å; angles 90.00, 90.00, 120.00 degrees
Space group P6_3/m (No. 176)
Asymmetric unit:
Na (0.0000, 0.0000, 0.1241)
Zn (0.3333, 0.6667, 0.0916)
Te (0.0228, 0.3967, 0.7500)
O (0.1221, 0.8655, 0.7500)
O (0.1402, 0.7219, 0.1066)

---

# 7
VASP calculation (PBE) on a relaxed Rb2SnF6 crystal.

The value obtained for the energy of formation is -3.013 eV per atom. For the total energy, the calculation gives -4.645 eV per atom. The calculated volume comes out at 20.50 Å³ per atom.

Cell lengths 9.038, 9.038, 9.038 Å; angles 90.00, 90.00, 90.00 degrees
Space group Fm-3m (No. 225)
Asymmetric unit:
Rb (0.250, 0.250, 0.250)
Sn (0.000, 0.000, 0.000)
F (0.000, 0.000, 0.222)

---

# 8
VASP calculation (PBE) on a relaxed Ce8U2O21 crystal.

The value obtained for the energy of formation is -3.786 eV per atom. For the total energy, the calculation gives -8.932 eV per atom. The calculated volume comes out at 12.99 Å³ per atom. The magnetization comes out at 0.0645 μB per atom.

Cell lengths 5.440, 27.205, 5.443 Å; angles 90.00, 90.00, 90.00 degrees
Space group Cmmm (No. 65)
Asymmetric unit:
Ce (0.000, 0.097, 0.000)
Ce (0.000, 0.200, 0.500)
Ce (0.000, 0.300, 0.000)
Ce (0.000, 0.397, 0.500)
U (0.000, 0.000, 0.500)
U (0.000, 0.500, 0.000)
O (0.000, 0.000, 0.000)
O (0.236, 0.451, 0.264)
O (0.248, 0.150, 0.248)
O (0.250, 0.250, 0.250)